Entry 1:
Li3FeSi6O15 | GGA+U | optimized geometry

Results
ΔE to the lowest computed polymorph ... 14 meV per atom
DFT total energy ... -7.2626 eV per atom
M_tot ... 0.20 μB/atom
Formation enthalpy at 0 K ... -7059 kJ/mol of formula units

Cell lengths 10.126, 10.126, 14.257 Å; angles 90.00, 90.00, 120.00 degrees
Fractional positions:
Li: 0.000 0.000 0.750
Li: 0.000 0.000 0.250
Li: 0.500 0.000 0.750
Li: 0.500 0.000 0.250
Li: 0.333 0.667 0.000
Li: 0.500 0.500 0.750
Li: 0.000 0.500 0.750
Li: 0.333 0.667 0.500
Li: 0.667 0.333 0.500
Li: 0.500 0.500 0.250
Li: 0.000 0.500 0.250
Li: 0.667 0.333 0.000
Si: 0.644 0.764 0.612
Si: 0.880 0.644 0.612
Si: 0.120 0.356 0.612
Si: 0.644 0.880 0.888
Si: 0.120 0.356 0.388
Si: 0.120 0.764 0.112
Si: 0.356 0.120 0.888
Si: 0.880 0.644 0.388
Si: 0.880 0.236 0.888
Si: 0.644 0.880 0.112
Si: 0.236 0.880 0.612
Si: 0.356 0.236 0.612
Si: 0.764 0.120 0.612
Si: 0.880 0.236 0.112
Si: 0.356 0.236 0.388
Si: 0.236 0.356 0.112
Si: 0.356 0.120 0.112
Si: 0.764 0.644 0.112
Si: 0.236 0.880 0.388
Si: 0.236 0.356 0.888
Si: 0.764 0.120 0.388
Si: 0.764 0.644 0.888
Si: 0.644 0.764 0.388
Si: 0.120 0.764 0.888
O: 0.857 0.595 0.500
O: 0.655 0.492 0.830
O: 0.221 0.275 0.364
O: 0.221 0.275 0.636
O: 0.739 0.595 0.000
O: 0.508 0.345 0.670
O: 0.946 0.221 0.364
O: 0.345 0.836 0.330
O: 0.345 0.508 0.830
O: 0.836 0.345 0.170
O: 0.345 0.836 0.670
O: 0.405 0.261 0.500
O: 0.725 0.946 0.636
O: 0.725 0.946 0.364
O: 0.143 0.739 0.000
O: 0.261 0.405 0.000
O: 0.595 0.857 0.000
O: 0.836 0.492 0.670
O: 0.054 0.275 0.136
O: 0.275 0.221 0.864
O: 0.164 0.655 0.170
O: 0.275 0.054 0.364
O: 0.345 0.508 0.170
O: 0.221 0.946 0.136
O: 0.655 0.164 0.670
O: 0.492 0.836 0.170
O: 0.725 0.779 0.864
O: 0.857 0.261 0.000
O: 0.275 0.054 0.636
O: 0.143 0.405 0.500
O: 0.779 0.054 0.864
O: 0.508 0.345 0.330
O: 0.275 0.221 0.136
O: 0.508 0.164 0.830
O: 0.779 0.054 0.136
O: 0.779 0.725 0.636
O: 0.739 0.143 0.500
O: 0.655 0.492 0.170
O: 0.836 0.492 0.330
O: 0.164 0.508 0.670
O: 0.054 0.779 0.364
O: 0.054 0.275 0.864
O: 0.595 0.739 0.500
O: 0.946 0.725 0.864
O: 0.508 0.164 0.170
O: 0.221 0.946 0.864
O: 0.164 0.655 0.830
O: 0.946 0.221 0.636
O: 0.946 0.725 0.136
O: 0.725 0.779 0.136
O: 0.405 0.143 0.000
O: 0.492 0.836 0.830
O: 0.492 0.655 0.330
O: 0.054 0.779 0.636
O: 0.836 0.345 0.830
O: 0.261 0.857 0.500
O: 0.164 0.508 0.330
O: 0.655 0.164 0.330
O: 0.779 0.725 0.364
O: 0.492 0.655 0.670
Fe: 0.333 0.667 0.250
Fe: 0.667 0.333 0.250
Fe: 0.333 0.667 0.750
Fe: 0.667 0.333 0.750


Entry 2:
Mg14ZnNiO16 | GGA+U | optimized geometry

Results
DFT total energy ... -5.8174 eV per atom
M_tot ... 0.06 μB/atom
Formation enthalpy at 0 K ... -8788 kJ/mol of formula units

Cell lengths 8.518, 8.524, 4.261 Å; angles 90.00, 90.00, 90.00 degrees
Fractional positions:
Mg: 0.751 0.251 0.000
Mg: 0.751 0.749 0.000
Mg: 0.750 0.000 0.500
Mg: 0.751 0.500 0.500
Mg: 0.249 0.749 0.000
Mg: 0.500 0.750 0.500
Mg: 0.000 0.749 0.500
Mg: 0.500 0.250 0.500
Mg: 0.000 0.251 0.500
Mg: 0.249 0.251 0.000
Mg: 0.500 0.000 0.000
Mg: 0.250 0.000 0.500
Mg: 0.249 0.500 0.500
Mg: 0.500 0.500 0.000
O: 0.500 0.250 0.000
O: 0.249 0.250 0.500
O: 0.747 0.000 0.000
O: 0.000 0.000 0.500
O: 0.251 0.500 0.000
O: 0.749 0.500 0.000
O: 0.249 0.750 0.500
O: 0.000 0.500 0.500
O: 0.000 0.253 0.000
O: 0.253 0.000 0.000
O: 0.500 0.500 0.500
O: 0.751 0.750 0.500
O: 0.500 0.000 0.500
O: 0.000 0.747 0.000
O: 0.500 0.750 0.000
O: 0.751 0.250 0.500
Ni: 0.000 0.500 0.000
Zn: 0.000 0.000 0.000